Entry 1:
# YW3F15 PBE with a Hubbard U optimized geometry
# - Total DFT energy (no corrections): -5.746 eV per atom
# - Space-group type: P2_1/m (11)
# - Density: 4.79 g cm⁻³
# - Corrected total energy (MP2020 scheme): -6.812 eV per atom
# - E_form: -2914 meV/atom
# - V: 16.9 A^3/atom
data_YW3F15
_symmetry_space_group_name_H-M 'P 1'
_symmetry_Int_Tables_number 1
_symmetry_space_group_name_Hall 'P 1'
_cell_length_a 10.640
_cell_length_b 6.123
_cell_length_c 10.091
_cell_angle_alpha 77.29
_cell_angle_beta 90.00
_cell_angle_gamma 90.00
loop_
_atom_site_label
_atom_site_fract_x
_atom_site_fract_y
_atom_site_fract_z
Y1 0.750 0.456 0.749
Y2 0.250 0.544 0.251
W1 0.500 0.000 0.500
W2 0.552 0.018 0.158
W3 0.448 0.982 0.842
W4 0.000 0.000 0.500
W5 0.948 0.018 0.158
W6 0.052 0.982 0.842
F1 0.750 0.699 0.576
F2 0.750 0.964 0.170
F3 0.750 0.666 0.873
F4 0.250 0.301 0.424
F5 0.250 0.334 0.127
F6 0.250 0.036 0.830
F7 0.397 0.135 0.636
F8 0.459 0.177 0.298
F9 0.411 0.122 0.011
F10 0.603 0.865 0.364
F11 0.589 0.878 0.989
F12 0.541 0.823 0.702
F13 0.121 0.760 0.500
F14 0.079 0.760 0.211
F15 0.114 0.685 0.924
F16 0.879 0.240 0.500
F17 0.886 0.315 0.076
F18 0.921 0.240 0.789
F19 0.621 0.240 0.500
F20 0.614 0.315 0.076
F21 0.579 0.240 0.789
F22 0.379 0.760 0.500
F23 0.421 0.760 0.211
F24 0.386 0.685 0.924
F25 0.103 0.135 0.636
F26 0.041 0.177 0.298
F27 0.089 0.122 0.011
F28 0.897 0.865 0.364
F29 0.911 0.878 0.989
F30 0.959 0.823 0.702

=====

Entry 2:
# Mn2ZnO4 PBE with a Hubbard U optimized geometry
# - Total DFT energy (no corrections): -6.653 eV per atom
# - Space-group type: Cm (8)
# - Density: 5.01 g cm⁻³
# - Corrected total energy (MP2020 scheme): -7.522 eV per atom
# - E_form: -1897 meV/atom
# - V: 11.3 A^3/atom
data_Mn2ZnO4
_symmetry_space_group_name_H-M 'P 1'
_symmetry_Int_Tables_number 1
_symmetry_space_group_name_Hall 'P 1'
_cell_length_a 6.084
_cell_length_b 6.084
_cell_length_c 20.133
_cell_angle_alpha 81.59
_cell_angle_beta 81.59
_cell_angle_gamma 59.73
loop_
_atom_site_label
_atom_site_fract_x
_atom_site_fract_y
_atom_site_fract_z
Mn1 0.375 0.875 0.875
Mn2 0.249 0.249 0.750
Mn3 0.875 0.375 0.875
Mn4 0.350 0.350 0.466
Mn5 0.126 0.626 0.625
Mn6 0.901 0.901 0.780
Mn7 0.099 0.099 0.219
Mn8 0.626 0.126 0.625
Mn9 0.875 0.375 0.375
Mn10 0.650 0.650 0.532
Mn11 0.375 0.875 0.375
Mn12 0.124 0.624 0.125
Mn13 0.624 0.124 0.125
Mn14 0.400 0.400 0.283
Mn15 0.501 0.501 0.000
Mn16 0.151 0.151 0.031
Zn1 0.850 0.850 0.970
Zn2 0.375 0.375 0.875
Zn3 0.601 0.601 0.718
Zn4 0.126 0.126 0.623
Zn5 0.875 0.875 0.375
Zn6 0.999 0.999 0.500
Zn7 0.625 0.625 0.127
Zn8 0.751 0.751 0.250
O1 0.683 0.226 0.937
O2 0.569 0.569 0.821
O3 0.226 0.683 0.937
O4 0.681 0.681 0.937
O5 0.071 0.071 0.813
O6 0.434 0.978 0.687
O7 0.521 0.067 0.813
O8 0.319 0.319 0.571
O9 0.978 0.434 0.687
O10 0.181 0.181 0.927
O11 0.429 0.429 0.685
O12 0.067 0.521 0.813
O13 0.190 0.722 0.432
O14 0.816 0.816 0.571
O15 0.281 0.807 0.569
O16 0.070 0.070 0.321
O17 0.722 0.190 0.432
O18 0.930 0.930 0.678
O19 0.180 0.180 0.430
O20 0.807 0.281 0.569
O21 0.570 0.570 0.320
O22 0.943 0.468 0.181
O23 0.028 0.559 0.319
O24 0.820 0.820 0.071
O25 0.468 0.943 0.181
O26 0.679 0.679 0.430
O27 0.934 0.934 0.180
O28 0.559 0.028 0.319
O29 0.324 0.324 0.065
O30 0.769 0.318 0.063
O31 0.430 0.430 0.179
O32 0.318 0.769 0.063

=====

Entry 3:
# Li32Mn3Cr13O48 PBE with a Hubbard U optimized geometry
# - Total DFT energy (no corrections): -6.260 eV per atom
# - Space-group type: P1 (1)
# - Density: 3.62 g cm⁻³
# - Corrected total energy (MP2020 scheme): -6.926 eV per atom
# - E_form: -2223 meV/atom
# - V: 8.7 A^3/atom
data_Li32Mn3Cr13O48
_symmetry_space_group_name_H-M 'P 1'
_symmetry_Int_Tables_number 1
_symmetry_space_group_name_Hall 'P 1'
_cell_length_a 5.016
_cell_length_b 8.718
_cell_length_c 19.453
_cell_angle_alpha 98.07
_cell_angle_beta 94.63
_cell_angle_gamma 89.57
loop_
_atom_site_label
_atom_site_fract_x
_atom_site_fract_y
_atom_site_fract_z
Li1 0.990 0.168 0.250
Li2 0.874 0.374 0.375
Li3 0.748 0.250 0.999
Li4 0.740 0.919 0.000
Li5 0.996 0.169 0.750
Li6 0.756 0.580 0.500
Li7 0.875 0.376 0.875
Li8 0.754 0.250 0.500
Li9 0.739 0.920 0.500
Li10 0.623 0.123 0.125
Li11 0.758 0.581 0.000
Li12 0.508 0.331 0.251
Li13 0.623 0.123 0.625
Li14 0.499 0.001 0.250
Li15 0.491 0.669 0.250
Li16 0.504 0.331 0.750
Li17 0.375 0.875 0.375
Li18 0.501 0.000 0.750
Li19 0.251 0.750 0.000
Li20 0.489 0.668 0.750
Li21 0.244 0.421 0.000
Li22 0.375 0.875 0.875
Li23 0.260 0.080 0.500
Li24 0.249 0.751 0.500
Li25 0.126 0.626 0.125
Li26 0.244 0.420 0.500
Li27 0.011 0.832 0.250
Li28 0.258 0.078 0.999
Li29 0.124 0.625 0.625
Li30 0.003 0.501 0.251
Li31 0.010 0.831 0.750
Li32 0.000 0.501 0.750
Mn1 0.375 0.542 0.375
Mn2 0.376 0.208 0.876
Mn3 0.128 0.293 0.626
Cr1 0.867 0.706 0.374
Cr2 0.881 0.038 0.375
Cr3 0.869 0.712 0.874
Cr4 0.882 0.045 0.876
Cr5 0.627 0.787 0.125
Cr6 0.625 0.452 0.125
Cr7 0.625 0.787 0.624
Cr8 0.625 0.454 0.625
Cr9 0.372 0.212 0.375
Cr10 0.375 0.537 0.875
Cr11 0.118 0.962 0.125
Cr12 0.130 0.298 0.126
Cr13 0.120 0.962 0.625
O1 0.968 0.107 0.070
O2 0.919 0.785 0.068
O3 0.936 0.423 0.067
O4 0.966 0.108 0.569
O5 0.829 0.964 0.181
O6 0.816 0.326 0.183
O7 0.920 0.786 0.568
O8 0.933 0.427 0.568
O9 0.783 0.641 0.180
O10 0.719 0.852 0.319
O11 0.830 0.964 0.681
O12 0.824 0.323 0.682
O13 0.676 0.534 0.319
O14 0.673 0.177 0.318
O15 0.780 0.641 0.681
O16 0.717 0.857 0.819
O17 0.465 0.603 0.069
O18 0.568 0.714 0.430
O19 0.576 0.074 0.432
O20 0.669 0.535 0.818
O21 0.677 0.176 0.818
O22 0.424 0.928 0.067
O23 0.439 0.289 0.069
O24 0.539 0.397 0.431
O25 0.466 0.605 0.569
O26 0.578 0.713 0.931
O27 0.568 0.072 0.932
O28 0.326 0.824 0.182
O29 0.313 0.463 0.182
O30 0.423 0.928 0.567
O31 0.429 0.287 0.569
O32 0.538 0.391 0.931
O33 0.286 0.148 0.181
O34 0.214 0.358 0.319
O35 0.327 0.825 0.682
O36 0.316 0.464 0.681
O37 0.181 0.678 0.318
O38 0.170 0.036 0.319
O39 0.290 0.147 0.681
O40 0.213 0.355 0.819
O41 0.073 0.574 0.432
O42 0.081 0.215 0.431
O43 0.172 0.677 0.817
O44 0.183 0.037 0.819
O45 0.032 0.895 0.431
O46 0.079 0.574 0.932
O47 0.074 0.216 0.931
O48 0.031 0.898 0.931

=====

Entry 4:
# KCrH24S2O20 PBE with a Hubbard U optimized geometry
# - Total DFT energy (no corrections): -5.303 eV per atom
# - Space-group type: Pa-3 (205)
# - Density: 1.85 g cm⁻³
# - Corrected total energy (MP2020 scheme): -5.631 eV per atom
# - E_form: -1476 meV/atom
# - V: 9.3 A^3/atom
data_KCrH24S2O20
_symmetry_space_group_name_H-M 'P 1'
_symmetry_Int_Tables_number 1
_symmetry_space_group_name_Hall 'P 1'
_cell_length_a 12.139
_cell_length_b 12.139
_cell_length_c 12.139
_cell_angle_alpha 90.00
_cell_angle_beta 90.00
_cell_angle_gamma 90.00
loop_
_atom_site_label
_atom_site_fract_x
_atom_site_fract_y
_atom_site_fract_z
K1 0.000 0.000 0.500
K2 0.000 0.500 0.000
K3 0.500 0.000 0.000
K4 0.500 0.500 0.500
Cr1 0.500 0.500 0.000
Cr2 0.500 0.000 0.500
Cr3 0.000 0.500 0.500
Cr4 0.000 0.000 0.000
H1 0.558 0.701 0.016
H2 0.442 0.201 0.484
H3 0.942 0.299 0.516
H4 0.058 0.799 0.984
H5 0.016 0.558 0.701
H6 0.484 0.442 0.201
H7 0.516 0.942 0.299
H8 0.984 0.058 0.799
H9 0.701 0.016 0.558
H10 0.201 0.484 0.442
H11 0.299 0.516 0.942
H12 0.799 0.984 0.058
H13 0.442 0.299 0.984
H14 0.558 0.799 0.516
H15 0.058 0.701 0.484
H16 0.942 0.201 0.016
H17 0.984 0.442 0.299
H18 0.516 0.558 0.799
H19 0.484 0.058 0.701
H20 0.016 0.942 0.201
H21 0.299 0.984 0.442
H22 0.799 0.516 0.558
H23 0.701 0.484 0.058
H24 0.201 0.016 0.942
H25 0.425 0.713 0.015
H26 0.575 0.213 0.485
H27 0.075 0.287 0.515
H28 0.925 0.787 0.985
H29 0.015 0.425 0.713
H30 0.485 0.575 0.213
H31 0.515 0.075 0.287
H32 0.985 0.925 0.787
H33 0.713 0.015 0.425
H34 0.213 0.485 0.575
H35 0.287 0.515 0.075
H36 0.787 0.985 0.925
H37 0.575 0.287 0.985
H38 0.425 0.787 0.515
H39 0.925 0.713 0.485
H40 0.075 0.213 0.015
H41 0.985 0.575 0.287
H42 0.515 0.425 0.787
H43 0.485 0.925 0.713
H44 0.015 0.075 0.213
H45 0.287 0.985 0.575
H46 0.787 0.515 0.425
H47 0.713 0.485 0.925
H48 0.213 0.015 0.075
H49 0.205 0.625 0.186
H50 0.795 0.125 0.314
H51 0.295 0.375 0.686
H52 0.705 0.875 0.814
H53 0.186 0.205 0.625
H54 0.314 0.795 0.125
H55 0.686 0.295 0.375
H56 0.814 0.705 0.875
H57 0.625 0.186 0.205
H58 0.125 0.314 0.795
H59 0.375 0.686 0.295
H60 0.875 0.814 0.705
H61 0.795 0.375 0.814
H62 0.205 0.875 0.686
H63 0.705 0.625 0.314
H64 0.295 0.125 0.186
H65 0.814 0.795 0.375
H66 0.686 0.205 0.875
H67 0.314 0.705 0.625
H68 0.186 0.295 0.125
H69 0.375 0.814 0.795
H70 0.875 0.686 0.205
H71 0.625 0.314 0.705
H72 0.125 0.186 0.295
H73 0.201 0.500 0.218
H74 0.799 0.000 0.282
H75 0.299 0.500 0.718
H76 0.701 0.000 0.782
H77 0.218 0.201 0.500
H78 0.282 0.799 0.000
H79 0.718 0.299 0.500
H80 0.782 0.701 0.000
H81 0.500 0.218 0.201
H82 0.000 0.282 0.799
H83 0.500 0.718 0.299
H84 0.000 0.782 0.701
H85 0.799 0.500 0.782
H86 0.201 0.000 0.718
H87 0.701 0.500 0.282
H88 0.299 0.000 0.218
H89 0.782 0.799 0.500
H90 0.718 0.201 0.000
H91 0.282 0.701 0.500
H92 0.218 0.299 0.000
H93 0.500 0.782 0.799
H94 0.000 0.718 0.201
H95 0.500 0.282 0.701
H96 0.000 0.218 0.299
S1 0.180 0.820 0.320
S2 0.820 0.320 0.180
S3 0.320 0.180 0.820
S4 0.680 0.680 0.680
S5 0.820 0.180 0.680
S6 0.180 0.680 0.820
S7 0.680 0.820 0.180
S8 0.320 0.320 0.320
O1 0.252 0.748 0.248
O2 0.748 0.248 0.252
O3 0.248 0.252 0.748
O4 0.752 0.752 0.752
O5 0.748 0.252 0.752
O6 0.252 0.752 0.748
O7 0.752 0.748 0.252
O8 0.248 0.248 0.248
O9 0.070 0.832 0.267
O10 0.930 0.332 0.233
O11 0.430 0.168 0.767
O12 0.570 0.668 0.733
O13 0.267 0.070 0.832
O14 0.233 0.930 0.332
O15 0.767 0.430 0.168
O16 0.733 0.570 0.668
O17 0.832 0.267 0.070
O18 0.332 0.233 0.930
O19 0.168 0.767 0.430
O20 0.668 0.733 0.570
O21 0.930 0.168 0.733
O22 0.070 0.668 0.767
O23 0.570 0.832 0.233
O24 0.430 0.332 0.267
O25 0.733 0.930 0.168
O26 0.767 0.070 0.668
O27 0.233 0.570 0.832
O28 0.267 0.430 0.332
O29 0.168 0.733 0.930
O30 0.668 0.767 0.070
O31 0.832 0.233 0.570
O32 0.332 0.267 0.430
O33 0.336 0.488 0.010
O34 0.664 0.988 0.490
O35 0.164 0.512 0.510
O36 0.836 0.012 0.990
O37 0.010 0.336 0.488
O38 0.490 0.664 0.988
O39 0.510 0.164 0.512
O40 0.990 0.836 0.012
O41 0.488 0.010 0.336
O42 0.988 0.490 0.664
O43 0.512 0.510 0.164
O44 0.012 0.990 0.836
O45 0.664 0.512 0.990
O46 0.336 0.012 0.510
O47 0.836 0.488 0.490
O48 0.164 0.988 0.010
O49 0.990 0.664 0.512
O50 0.510 0.336 0.012
O51 0.490 0.836 0.488
O52 0.010 0.164 0.988
O53 0.512 0.990 0.664
O54 0.012 0.510 0.336
O55 0.488 0.490 0.836
O56 0.988 0.010 0.164
O57 0.192 0.550 0.154
O58 0.808 0.050 0.346
O59 0.308 0.450 0.654
O60 0.692 0.950 0.846
O61 0.154 0.192 0.550
O62 0.346 0.808 0.050
O63 0.654 0.308 0.450
O64 0.846 0.692 0.950
O65 0.550 0.154 0.192
O66 0.050 0.346 0.808
O67 0.450 0.654 0.308
O68 0.950 0.846 0.692
O69 0.808 0.450 0.846
O70 0.192 0.950 0.654
O71 0.692 0.550 0.346
O72 0.308 0.050 0.154
O73 0.846 0.808 0.450
O74 0.654 0.192 0.950
O75 0.346 0.692 0.550
O76 0.154 0.308 0.050
O77 0.450 0.846 0.808
O78 0.950 0.654 0.192
O79 0.550 0.346 0.692
O80 0.050 0.154 0.308

=====

Entry 5:
# Li2MnP2O7 PBE with a Hubbard U optimized geometry
# - Total DFT energy (no corrections): -6.969 eV per atom
# - Density: 2.83 g cm⁻³
# - Corrected total energy (MP2020 scheme): -7.509 eV per atom
# - E_form: -2638 meV/atom
# - V: 11.9 A^3/atom
data_Li2MnP2O7
_symmetry_space_group_name_H-M 'P 1'
_symmetry_Int_Tables_number 1
_symmetry_space_group_name_Hall 'P 1'
_cell_length_a 7.268
_cell_length_b 9.741
_cell_length_c 9.332
_cell_angle_alpha 118.47
_cell_angle_beta 96.99
_cell_angle_gamma 78.62
loop_
_atom_site_label
_atom_site_fract_x
_atom_site_fract_y
_atom_site_fract_z
Li1 0.490 0.679 0.954
Li2 0.990 0.179 0.954
Li3 0.010 0.821 0.046
Li4 0.510 0.321 0.046
Li5 0.626 0.929 0.770
Li6 0.126 0.429 0.770
Li7 0.874 0.571 0.230
Li8 0.374 0.071 0.230
Mn1 0.315 0.435 0.369
Mn2 0.685 0.565 0.631
Mn3 0.815 0.935 0.369
Mn4 0.184 0.066 0.632
P1 0.503 0.745 0.407
P2 0.003 0.245 0.407
P3 0.997 0.755 0.593
P4 0.497 0.255 0.593
P5 0.280 0.892 0.871
P6 0.780 0.392 0.871
P7 0.220 0.608 0.129
P8 0.720 0.108 0.129
O1 0.180 0.248 0.336
O2 0.680 0.748 0.336
O3 0.320 0.252 0.664
O4 0.820 0.752 0.664
O5 0.519 0.595 0.428
O6 0.019 0.095 0.428
O7 0.981 0.906 0.572
O8 0.481 0.406 0.572
O9 0.485 0.810 0.836
O10 0.985 0.310 0.836
O11 0.015 0.689 0.164
O12 0.515 0.190 0.164
O13 0.272 0.454 0.144
O14 0.772 0.954 0.144
O15 0.228 0.046 0.856
O16 0.728 0.546 0.856
O17 0.775 0.085 0.965
O18 0.275 0.585 0.965
O19 0.725 0.415 0.035
O20 0.225 0.915 0.035
O21 0.058 0.604 0.438
O22 0.558 0.104 0.438
O23 0.442 0.896 0.562
O24 0.942 0.396 0.562
O25 0.160 0.762 0.730
O26 0.660 0.262 0.730
O27 0.340 0.738 0.270
O28 0.840 0.238 0.270